VASP calculation (PBE) on crystalline MgSi2 at its relaxed geometry.

Structure (POSCAR):
```
MgSi2
1.0
6.827 -9.316 2.864
7.087 -7.474 5.959
-3.462 -3.343 2.281
Mg Si
4 8
Direct
0.067 0.067 0.734
0.683 0.683 0.386
0.324 0.324 0.993
0.506 0.506 0.294
0.745 0.745 0.846
0.640 0.640 0.934
0.917 0.917 0.641
0.916 0.916 0.143
0.101 0.101 0.210
0.261 0.261 0.552
0.365 0.365 0.438
0.470 0.470 0.831
```

Values from the calculation:
As for the energy with MP2020 corrections: -0.145 Ha/atom. Its space group is No. 8. As for the energy above the most stable polymorph in this dataset: 115.0 meV per atom.

VASP calculation (PBE) on crystalline Mg9Si5 at its relaxed geometry.

Structure (POSCAR):
```
Mg9Si5
1.0
-4.656 2.914 -4.655
-7.050 -0.462 1.447
-1.115 10.562 6.453
Mg Si
18 10
Direct
0.244 0.668 0.607
0.662 0.419 0.435
0.012 0.391 0.588
0.892 0.847 0.429
0.514 0.126 0.585
0.204 0.070 0.421
0.603 0.346 0.076
0.246 0.569 0.907
0.983 0.909 0.069
0.193 0.191 0.079
0.842 0.593 0.014
0.583 0.074 0.912
0.299 0.733 0.251
0.633 0.377 0.727
0.973 0.514 0.258
0.852 0.635 0.775
0.512 0.199 0.287
0.343 0.921 0.784
0.919 0.155 0.250
0.919 0.070 0.585
0.954 0.957 0.787
0.419 0.783 0.019
0.589 0.803 0.336
0.279 0.328 0.753
0.604 0.906 0.140
0.878 0.241 0.903
0.599 0.721 0.597
0.251 0.454 0.424
```

Values from the calculation:
As for the energy with MP2020 corrections: -0.108 Ha/atom. Its space group is No. 1. As for the energy above the most stable polymorph in this dataset: 117.8 meV per atom.

VASP calculation (PBE) on crystalline Na3H5Se4O16 at its relaxed geometry.

Structure (POSCAR):
```
Na3H5Se4O16
1.0
5.987 0.000 0.000
-2.003 7.141 0.000
-0.415 -2.549 8.689
Na H Se O
3 5 4 16
Direct
0.807 0.633 0.087
0.197 0.372 0.924
0.983 0.992 0.494
0.413 0.119 0.146
0.585 0.882 0.857
0.852 0.620 0.619
0.157 0.390 0.382
0.488 0.029 0.514
0.671 0.337 0.679
0.336 0.679 0.329
0.798 0.144 0.157
0.201 0.855 0.841
0.881 0.325 0.078
0.113 0.672 0.917
0.981 0.171 0.309
0.018 0.829 0.688
0.537 0.156 0.237
0.463 0.845 0.764
0.431 0.153 0.573
0.557 0.863 0.439
0.739 0.924 0.032
0.258 0.074 0.966
0.580 0.449 0.835
0.425 0.564 0.172
0.736 0.486 0.559
0.267 0.522 0.446
0.884 0.241 0.699
0.107 0.757 0.303
```

Values from the calculation:
As for the energy with MP2020 corrections: -0.200 Ha/atom. Its space group is No. 1.

| no. | ΔH_f (0 K) (kJ/mol of formula units) | magnetization (μB per formula unit) |
| --- | --- | --- |
| 1 | 55.8 | 0.00 |
| 2 | 46.8 | 0.00 |
| 3 | -3709.1 | 0.00 |